1.
A plane-wave DFT calculation with PBE was carried out for a relaxed CrSe2 crystal.

Cell and atoms, written as POSCAR:
```
CrSe2
1.0
6.179 -0.007 3.597
2.054 5.813 3.598
0.009 0.006 7.180
Se Cr
8 4
Direct
0.253 0.746 0.251
0.250 0.252 0.252
0.257 0.746 0.749
0.747 0.256 0.749
0.748 0.748 0.260
0.747 0.254 0.250
0.250 0.252 0.746
0.748 0.748 0.745
0.004 0.498 0.499
0.499 0.499 0.003
0.497 0.006 0.498
0.499 0.499 0.499
```

E, eV per cell: -71.731
Crystal system: triclinic
Total energy after the MP2020 corrections, eV per atom: -6.292
Symmetry: P1 (1)
ΔE_f, eV/atom: -0.7439
Calculated density, g cm⁻³: 5.41

=====

2.
A plane-wave DFT calculation with PBE was carried out for a relaxed NaNb2Bi2O9 crystal.

Cell and atoms, written as POSCAR:
```
NaNb2Bi2O9
1.0
0.000 5.585 0.000
0.000 0.000 5.676
12.227 -2.793 0.000
O Nb Bi Na
18 4 4 2
Direct
0.632 0.222 0.191
0.693 0.491 0.686
0.029 0.782 0.129
0.007 0.491 0.314
0.770 0.331 0.494
0.275 0.331 0.506
0.725 0.831 0.494
0.899 0.782 0.871
0.101 0.282 0.129
0.971 0.282 0.871
0.559 0.722 0.191
0.307 0.991 0.314
0.333 0.979 0.000
0.993 0.991 0.686
0.667 0.479 0.000
0.441 0.222 0.809
0.230 0.831 0.506
0.368 0.722 0.809
0.821 0.542 0.158
0.337 0.042 0.158
0.179 0.042 0.842
0.663 0.542 0.842
0.407 0.625 0.394
0.987 0.125 0.394
0.013 0.625 0.606
0.593 0.125 0.606
0.236 0.554 0.000
0.764 0.054 0.000
```

E, eV per cell: -201.539
Crystal system: orthorhombic
Total energy after the MP2020 corrections, eV per atom: -7.639
Symmetry: Cmc2_1 (36)
ΔE_f, eV/atom: -2.3654
Calculated density, g cm⁻³: 6.60

=====

3.
A plane-wave DFT calculation with PBE was carried out for a relaxed Sr2CaI6 crystal.

Cell and atoms, written as POSCAR:
```
Sr2CaI6
1.0
-4.143 3.363 5.499
-6.038 0.263 -4.710
-4.307 -13.130 4.786
Sr I Ca
4 12 2
Direct
0.000 0.000 0.334
0.500 0.500 0.834
0.500 0.500 0.166
0.000 0.000 0.666
0.806 0.194 0.160
0.306 0.306 0.340
0.295 0.295 0.000
0.694 0.694 0.340
0.705 0.705 0.000
0.194 0.806 0.840
0.806 0.194 0.840
0.194 0.806 0.160
0.795 0.205 0.500
0.306 0.306 0.660
0.205 0.795 0.500
0.694 0.694 0.660
0.500 0.500 0.500
0.000 0.000 0.000
```

Energy relative to the lowest polymorph listed for this composition, eV/f.u.: 0.050
E, eV per cell: -58.940
Crystal system: tetragonal
Total energy after the MP2020 corrections, eV per atom: -3.527
Symmetry: P4_2/mnm (136)
ΔE_f, eV/atom: -1.9128
Calculated density, g cm⁻³: 3.78

=====

4.
A plane-wave DFT calculation with PBE was carried out for a relaxed CuAsH3O5 crystal.

Cell and atoms, written as POSCAR:
```
CuAsH3O5
1.0
6.514 0.000 0.000
0.716 8.173 0.000
1.428 0.970 15.839
H O Cu As
24 40 8 8
Direct
0.032 0.171 0.787
0.112 0.624 0.739
0.904 0.101 0.334
0.426 0.194 0.328
0.802 0.340 0.643
0.868 0.679 0.177
0.653 0.389 0.800
0.170 0.500 0.186
0.888 0.376 0.261
0.352 0.925 0.249
0.968 0.829 0.213
0.096 0.899 0.666
0.385 0.377 0.279
0.132 0.321 0.823
0.648 0.075 0.751
0.638 0.175 0.138
0.347 0.611 0.200
0.615 0.623 0.721
0.830 0.500 0.814
0.270 0.014 0.680
0.198 0.660 0.357
0.730 0.986 0.320
0.362 0.825 0.862
0.574 0.806 0.672
0.903 0.311 0.317
0.027 0.371 0.644
0.834 0.083 0.535
0.908 0.480 0.170
0.166 0.917 0.465
0.656 0.432 0.032
0.156 0.951 0.042
0.680 0.503 0.807
0.320 0.497 0.193
0.453 0.989 0.321
0.645 0.329 0.639
0.082 0.324 0.022
0.205 0.824 0.862
0.125 0.016 0.663
0.904 0.657 0.541
0.355 0.671 0.361
0.973 0.629 0.356
0.573 0.861 0.060
0.918 0.676 0.978
0.721 0.124 0.799
0.092 0.520 0.830
0.326 0.552 0.541
0.674 0.448 0.459
0.844 0.049 0.958
0.857 0.802 0.180
0.598 0.829 0.877
0.279 0.876 0.201
0.096 0.343 0.459
0.547 0.011 0.679
0.408 0.180 0.531
0.143 0.198 0.820
0.592 0.820 0.469
0.795 0.176 0.138
0.344 0.568 0.968
0.097 0.689 0.683
0.441 0.314 0.330
0.559 0.686 0.670
0.402 0.171 0.123
0.427 0.139 0.940
0.875 0.984 0.337
0.634 0.637 0.959
0.366 0.363 0.041
0.888 0.857 0.450
0.142 0.086 0.933
0.382 0.410 0.440
0.112 0.143 0.550
0.618 0.590 0.560
0.858 0.914 0.067
0.866 0.365 0.089
0.391 0.856 0.406
0.134 0.635 0.911
0.358 0.973 0.103
0.642 0.027 0.897
0.609 0.144 0.594
0.091 0.556 0.601
0.909 0.444 0.399
```

E, eV per cell: -427.509
Crystal system: triclinic
Total energy after the MP2020 corrections, eV per atom: -5.687
Symmetry: P-1 (2)
ΔE_f, eV/atom: -1.3197
Calculated density, g cm⁻³: 3.49

=====

5.
A plane-wave DFT calculation with PBE was carried out for a relaxed Er2S2O crystal.

Cell and atoms, written as POSCAR:
```
Er2S2O
1.0
6.840 0.000 0.000
0.000 6.826 0.000
0.000 1.349 8.113
S O Er
8 4 8
Direct
0.632 0.579 0.319
0.777 0.530 0.925
0.277 0.970 0.075
0.368 0.421 0.681
0.868 0.079 0.319
0.132 0.921 0.681
0.223 0.470 0.075
0.723 0.030 0.925
0.087 0.650 0.383
0.587 0.850 0.617
0.413 0.150 0.383
0.913 0.350 0.617
0.355 0.823 0.425
0.855 0.677 0.575
0.946 0.750 0.139
0.446 0.750 0.861
0.054 0.250 0.861
0.645 0.177 0.575
0.554 0.250 0.139
0.145 0.323 0.425
```

E, eV per cell: -142.145
Crystal system: monoclinic
Total energy after the MP2020 corrections, eV per atom: -7.446
Symmetry: P2_1/c (14)
ΔE_f, eV/atom: -2.9746
Calculated density, g cm⁻³: 7.27

=====

6.
A plane-wave DFT calculation with PBE was carried out for a relaxed ZnSnBiO5 crystal.

Cell and atoms, written as POSCAR:
```
ZnSnBiO5
1.0
5.348 0.000 0.000
0.000 10.453 0.000
0.000 0.000 15.436
Bi O Zn Sn
8 40 8 8
Direct
0.030 0.355 0.741
0.470 0.855 0.259
0.030 0.855 0.759
0.470 0.355 0.241
0.970 0.145 0.241
0.970 0.645 0.259
0.530 0.145 0.741
0.530 0.645 0.759
0.236 0.011 0.979
0.227 0.492 0.341
0.367 0.804 0.833
0.867 0.696 0.833
0.133 0.304 0.167
0.305 0.196 0.322
0.195 0.196 0.822
0.805 0.304 0.322
0.352 0.280 0.483
0.195 0.696 0.678
0.773 0.508 0.659
0.727 0.508 0.159
0.736 0.489 0.979
0.695 0.804 0.678
0.736 0.989 0.521
0.852 0.720 0.017
0.264 0.511 0.021
0.133 0.804 0.333
0.148 0.280 0.983
0.633 0.196 0.167
0.805 0.804 0.178
0.764 0.989 0.021
0.773 0.008 0.841
0.633 0.696 0.333
0.305 0.696 0.178
0.367 0.304 0.667
0.264 0.011 0.479
0.273 0.992 0.659
0.273 0.492 0.841
0.236 0.511 0.521
0.148 0.780 0.517
0.227 0.992 0.159
0.764 0.489 0.479
0.695 0.304 0.822
0.648 0.220 0.983
0.352 0.780 0.017
0.648 0.720 0.517
0.867 0.196 0.667
0.852 0.220 0.483
0.727 0.008 0.341
0.031 0.605 0.933
0.531 0.895 0.933
0.469 0.105 0.067
0.031 0.105 0.567
0.469 0.605 0.433
0.969 0.395 0.067
0.969 0.895 0.433
0.531 0.395 0.567
0.958 0.629 0.570
0.542 0.129 0.430
0.042 0.871 0.070
0.542 0.629 0.070
0.958 0.129 0.930
0.042 0.371 0.430
0.458 0.871 0.570
0.458 0.371 0.930
```

E, eV per cell: -350.060
Crystal system: orthorhombic
Total energy after the MP2020 corrections, eV per atom: -5.899
Symmetry: Pbca (61)
ΔE_f, eV/atom: -1.6617
Calculated density, g cm⁻³: 7.28

=====

7.
A plane-wave DFT calculation with PBE was carried out for a relaxed CaC2S2O2F2 crystal.

Cell and atoms, written as POSCAR:
```
CaC2S2O2F2
1.0
-2.449 -4.699 0.173
2.401 -4.672 0.168
2.420 1.234 9.417
S F O Ca C
2 2 2 1 2
Direct
0.444 0.304 0.154
0.556 0.696 0.846
0.691 0.360 0.386
0.309 0.640 0.614
0.269 0.155 0.106
0.731 0.845 0.894
0.000 0.000 0.000
0.537 0.233 0.338
0.463 0.767 0.662
```

E, eV per cell: -46.993
Crystal system: triclinic
Total energy after the MP2020 corrections, eV per atom: -5.477
Symmetry: P-1 (2)
ΔE_f, eV/atom: -0.7589
Calculated density, g cm⁻³: 1.53

=====

8.
A plane-wave DFT calculation with PBE was carried out for a relaxed Al2Si2H4O9 crystal.

Cell and atoms, written as POSCAR:
```
Al2Si2H4O9
1.0
-3.250 0.115 4.092
-5.163 0.244 -0.777
-2.894 -14.600 0.748
O Si H Al
18 4 8 4
Direct
0.608 0.217 0.264
0.049 0.306 0.563
0.138 0.134 0.780
0.480 0.956 0.420
0.089 0.560 0.423
0.956 0.480 0.920
0.684 0.676 0.765
0.704 0.342 0.421
0.134 0.138 0.280
0.342 0.704 0.921
0.306 0.049 0.063
0.676 0.684 0.265
0.662 0.918 0.562
0.441 0.527 0.561
0.217 0.608 0.764
0.560 0.089 0.923
0.527 0.441 0.061
0.918 0.662 0.062
0.783 0.346 0.311
0.346 0.783 0.811
0.002 0.470 0.810
0.470 0.002 0.310
0.347 0.581 0.622
0.187 0.029 0.116
0.687 0.892 0.627
0.744 0.098 0.911
0.892 0.687 0.127
0.029 0.187 0.616
0.098 0.744 0.411
0.581 0.347 0.122
0.399 0.267 0.498
0.737 0.600 0.498
0.600 0.737 0.998
0.267 0.399 0.998
```

Energy relative to the lowest polymorph listed for this composition, eV/f.u.: 0.038
E, eV per cell: -229.253
Crystal system: monoclinic
Total energy after the MP2020 corrections, eV per atom: -7.106
Symmetry: Cc (9)
ΔE_f, eV/atom: -2.6097
Calculated density, g cm⁻³: 2.46

=====

9.
A plane-wave DFT calculation with PBE was carried out for a relaxed BaSi2 crystal.

Cell and atoms, written as POSCAR:
```
BaSi2
1.0
-2.431 2.431 4.443
2.431 -2.431 4.443
2.431 2.431 -4.443
Ba Si
1 2
Direct
0.000 0.000 0.000
0.622 0.622 0.000
0.378 0.378 0.000
```

E, eV per cell: -12.413
Crystal system: tetragonal
Total energy after the MP2020 corrections, eV per atom: -4.090
Symmetry: I4/mmm (139)
ΔE_f, eV/atom: 0.1662
Calculated density, g cm⁻³: 3.06

=====

10.
A plane-wave DFT calculation with PBE was carried out for a relaxed Pm2InHg crystal.

Cell and atoms, written as POSCAR:
```
Pm2InHg
1.0
0.000 3.850 3.850
3.850 0.000 3.850
3.850 3.850 0.000
In Pm Hg
1 2 1
Direct
0.500 0.500 0.500
0.250 0.250 0.250
0.750 0.750 0.750
0.000 0.000 0.000
```

E, eV per cell: -14.459
Crystal system: cubic
Symmetry: Fm-3m (225)
ΔE_f, eV/atom: -0.4756
Calculated density, g cm⁻³: 8.81

=====

11.
A plane-wave DFT calculation with PBE was carried out for a relaxed NaYF4 crystal.

Cell and atoms, written as POSCAR:
```
NaYF4
1.0
-4.547 -3.495 3.391
-3.995 4.258 3.210
1.900 -0.284 -6.380
F Y Na
8 2 2
Direct
0.875 0.894 0.519
0.106 0.625 0.981
0.644 0.125 0.019
0.375 0.356 0.481
0.644 0.625 0.519
0.875 0.356 0.981
0.106 0.125 0.481
0.375 0.894 0.019
0.750 0.250 0.500
0.000 0.000 0.000
0.500 0.500 0.000
0.250 0.750 0.500
```

E, eV per cell: -74.797
Crystal system: tetragonal
Total energy after the MP2020 corrections, eV per atom: -6.541
Symmetry: I4_1/amd (141)
ΔE_f, eV/atom: -3.9665
Calculated density, g cm⁻³: 3.81

=====

12.
A plane-wave DFT calculation with PBE was carried out for a relaxed Nb3Ge crystal.

Cell and atoms, written as POSCAR:
```
Nb3Ge
1.0
-5.784 1.332 5.025
-1.480 -4.355 -6.271
1.374 -4.438 2.758
Nb Ge
12 4
Direct
0.000 0.244 0.500
0.334 0.658 0.246
0.999 0.608 0.500
0.005 0.762 0.000
0.244 0.000 0.500
0.747 0.747 0.500
0.762 0.005 0.000
0.608 0.999 0.500
0.658 0.334 0.754
0.334 0.658 0.754
0.658 0.334 0.246
0.250 0.250 0.000
0.997 0.400 0.000
0.400 0.997 0.000
0.387 0.387 0.500
0.615 0.615 0.000
```

Energy relative to the lowest polymorph listed for this composition, eV/f.u.: 0.875
E, eV per cell: -141.297
Crystal system: orthorhombic
Symmetry: Amm2 (38)
ΔE_f, eV/atom: -0.0994
Calculated density, g cm⁻³: 8.12

=====

13.
A plane-wave DFT calculation with PBE was carried out for a relaxed LaCoNi4 crystal.

Cell and atoms, written as POSCAR:
```
LaCoNi4
1.0
-0.831 -3.149 -3.746
0.630 -1.828 4.572
-3.914 0.265 0.645
Ni Co La
4 1 1
Direct
0.000 0.500 0.500
0.337 0.663 0.000
0.500 0.000 0.500
0.663 0.337 0.000
0.500 0.500 0.500
0.000 0.000 0.000
```

E, eV per cell: -36.472
Crystal system: orthorhombic
Symmetry: Cmmm (65)
ΔE_f, eV/atom: -0.2178
Calculated density, g cm⁻³: 8.37

=====

14.
A plane-wave DFT calculation with PBE was carried out for a relaxed NaPrHfNbO6 crystal.

Cell and atoms, written as POSCAR:
```
NaPrHfNbO6
1.0
-4.651 -2.585 -2.229
-1.079 -5.538 1.207
-4.438 -1.397 3.412
O Nb Pr Hf Na
6 1 1 1 1
Direct
0.252 0.748 0.748
0.748 0.252 0.748
0.252 0.252 0.748
0.748 0.252 0.252
0.748 0.748 0.252
0.252 0.748 0.252
0.500 0.500 0.500
0.750 0.750 0.750
0.000 0.000 0.000
0.250 0.250 0.250
```

E, eV per cell: -83.940
Crystal system: cubic
Total energy after the MP2020 corrections, eV per atom: -8.806
Symmetry: F-43m (216)
ΔE_f, eV/atom: -3.2213
Calculated density, g cm⁻³: 6.50